(1)
CaPrO3: relaxed, PBE.

Output
The calculation puts the total DFT energy (no corrections) at -6.9292 eV per atom. For the corrected total energy (MP2020 scheme), the calculation gives -7.34 eV per atom. As for the formation energy: -3.015 eV/atom. The value obtained for the total moment is 4.00 μB per cell.

abc: 6.105 6.322 8.446
angles: 90.00 90.00 90.00
Positions (direct):
O 0.803 0.199 0.905
O 0.197 0.801 0.095
Pr 0.500 0.000 0.000
O 0.697 0.699 0.905
Ca 0.517 0.446 0.750
Ca 0.983 0.946 0.750
O 0.803 0.199 0.595
O 0.836 0.398 0.250
O 0.336 0.102 0.750
Ca 0.483 0.554 0.250
O 0.697 0.699 0.595
O 0.303 0.301 0.095
Pr 0.000 0.500 0.500
O 0.164 0.602 0.750
Pr 0.000 0.500 0.000
O 0.664 0.898 0.250
O 0.197 0.801 0.405
Ca 0.017 0.054 0.250
O 0.303 0.301 0.405
Pr 0.500 0.000 0.500


(2)
CaPrSb2O6: relaxed, PBE.

Output
The calculation puts the total DFT energy (no corrections) at -6.5563 eV per atom. For the corrected total energy (MP2020 scheme), the calculation gives -6.97 eV per atom. As for the formation energy: -2.495 eV/atom. The value obtained for the total moment is 0.00 μB per cell.

abc: 5.775 6.093 8.361
angles: 90.00 90.00 90.00
Positions (direct):
O 0.377 0.695 0.500
O 0.634 0.811 0.000
O 0.298 0.441 0.184
Sb 0.508 0.757 0.746
O 0.183 0.950 0.816
Sb 0.008 0.243 0.754
O 0.798 0.559 0.316
Sb 0.008 0.243 0.246
O 0.877 0.305 0.000
O 0.798 0.559 0.684
O 0.298 0.441 0.816
Sb 0.508 0.757 0.254
O 0.683 0.050 0.316
O 0.134 0.189 0.500
Ca 0.988 0.805 0.500
Ca 0.488 0.195 0.000
Pr 0.024 0.687 0.000
Pr 0.524 0.313 0.500
O 0.683 0.050 0.684
O 0.183 0.950 0.184


(3)
CaPrSb2O6: relaxed, PBE.

Output
The calculation puts the total DFT energy (no corrections) at -6.3968 eV per atom. For the corrected total energy (MP2020 scheme), the calculation gives -6.81 eV per atom. As for the formation energy: -2.336 eV/atom. The value obtained for the total moment is 0.00 μB per cell.

abc: 4.293 5.904 5.904
angles: 89.31 90.00 90.00
Positions (direct):
Sb 0.000 0.500 0.000
O 0.500 0.500 0.000
O 0.000 0.838 0.838
O 0.500 0.000 0.500
Ca 0.500 0.500 0.500
O 0.000 0.328 0.672
O 0.000 0.162 0.162
Sb 0.000 0.000 0.500
O 0.000 0.672 0.328
Pr 0.500 0.000 0.000


(4)
Ca3Pr2Sb3O14: relaxed, PBE.

Output
The calculation puts the total DFT energy (no corrections) at -6.7868 eV per atom. For the corrected total energy (MP2020 scheme), the calculation gives -7.22 eV per atom. As for the formation energy: -2.804 eV/atom. The value obtained for the total moment is 1.00 μB per cell.

abc: 7.553 7.553 7.505
angles: 60.69 60.69 60.56
Positions (direct):
O 0.687 0.687 0.088
Ca 0.500 0.500 0.500
O 0.089 0.684 0.683
O 0.684 0.089 0.683
Ca 0.000 0.000 0.000
Pr 0.500 0.000 0.500
O 0.630 0.094 0.096
Sb 0.000 0.000 0.500
O 0.094 0.630 0.096
Pr 0.000 0.500 0.500
O 0.370 0.906 0.904
O 0.904 0.904 0.370
O 0.623 0.623 0.621
O 0.313 0.313 0.912
O 0.911 0.316 0.317
O 0.906 0.370 0.904
O 0.377 0.377 0.379
Sb 0.500 0.000 0.000
O 0.316 0.911 0.317
Sb 0.000 0.500 0.000
Ca 0.500 0.500 0.000
O 0.096 0.096 0.630


(5)
CaPrSb2O6: relaxed, PBE.

Output
The calculation puts the total DFT energy (no corrections) at -6.2327 eV per atom. For the corrected total energy (MP2020 scheme), the calculation gives -6.64 eV per atom. As for the formation energy: -2.172 eV/atom. The value obtained for the total moment is 0.00 μB per cell.

abc: 6.020 6.020 6.020
angles: 60.00 60.00 60.00
Positions (direct):
Sb 0.250 0.250 0.250
Ca 0.500 0.500 0.500
O 0.000 0.500 0.000
O 0.500 0.000 0.000
O 0.500 0.500 0.000
Pr 0.000 0.000 0.000
O 0.000 0.500 0.500
O 0.500 0.000 0.500
O 0.000 0.000 0.500
Sb 0.750 0.750 0.750


(6)
CaPrSn2O6: relaxed, PBE.

Output
The calculation puts the total DFT energy (no corrections) at -6.7064 eV per atom. For the corrected total energy (MP2020 scheme), the calculation gives -7.12 eV per atom. As for the formation energy: -2.669 eV/atom. The value obtained for the total moment is 0.00 μB per cell.

abc: 5.696 5.952 8.233
angles: 90.00 90.00 90.00
Positions (direct):
O 0.383 0.704 0.500
O 0.695 0.049 0.688
Pr 0.020 0.691 0.000
O 0.695 0.049 0.312
Ca 0.485 0.199 0.000
Sn 0.501 0.754 0.251
O 0.619 0.801 0.000
O 0.797 0.547 0.312
Pr 0.520 0.309 0.500
Sn 0.001 0.246 0.249
O 0.797 0.547 0.688
Sn 0.001 0.246 0.751
O 0.297 0.453 0.812
O 0.297 0.453 0.188
Ca 0.985 0.801 0.500
O 0.119 0.199 0.500
O 0.195 0.951 0.812
Sn 0.501 0.754 0.749
O 0.195 0.951 0.188
O 0.883 0.296 0.000


- Among the records above, which one has the highest corrected total energy (MP2020 scheme)?
  number 5